No. 1
## SmPtF7 (PBE)

Data for crystalline SmPtF7 at its relaxed geometry.

Computed properties:
As for the symmetry: No. 14. The formation energy is -2.91 eV per atom.

Lattice parameters (Å, degrees): 9.0758 5.6310 12.1892 90.00 117.89 90.00
Fractional positions:
Sm (0.1877, 0.2395, 0.2643)
Sm (0.1877, 0.2605, 0.7643)
Sm (0.8123, 0.7395, 0.2357)
Sm (0.8123, 0.7605, 0.7357)
Pt (0.2730, 0.7426, 0.0427)
Pt (0.2730, 0.7574, 0.5427)
Pt (0.7270, 0.2426, 0.4573)
Pt (0.7270, 0.2574, 0.9573)
F (0.0282, 0.7440, 0.9503)
F (0.0282, 0.7560, 0.4503)
F (0.0319, 0.5897, 0.7317)
F (0.0319, 0.9103, 0.2317)
F (0.2563, 0.5555, 0.1730)
F (0.2563, 0.9445, 0.6730)
F (0.2729, 0.0327, 0.1326)
F (0.2729, 0.4673, 0.6326)
F (0.2807, 0.0536, 0.4590)
F (0.2807, 0.4464, 0.9590)
F (0.2947, 0.5656, 0.4160)
F (0.2947, 0.9344, 0.9160)
F (0.4822, 0.2306, 0.3600)
F (0.4822, 0.2694, 0.8600)
F (0.5178, 0.7306, 0.1400)
F (0.5178, 0.7694, 0.6400)
F (0.7053, 0.0656, 0.0840)
F (0.7053, 0.4344, 0.5840)
F (0.7193, 0.5536, 0.0410)
F (0.7193, 0.9464, 0.5410)
F (0.7271, 0.5327, 0.3674)
F (0.7271, 0.9673, 0.8674)
F (0.7437, 0.0555, 0.3270)
F (0.7437, 0.4445, 0.8270)
F (0.9681, 0.0897, 0.7683)
F (0.9681, 0.4103, 0.2683)
F (0.9718, 0.2440, 0.5497)
F (0.9718, 0.2560, 0.0497)


No. 2
## K2Te2Pd (PBE)

Data for crystalline K2Te2Pd at its relaxed geometry.

Computed properties:
As for the symmetry: No. 71. The formation energy is -0.81 eV per atom.

Lattice parameters (Å, degrees): 6.8813 6.8813 6.8813 145.53 109.00 81.37
Fractional positions:
K (0.1993, 0.1993, 0.0000)
K (0.8007, 0.8007, 0.0000)
Te (0.2811, 0.5000, 0.7811)
Te (0.7189, 0.5000, 0.2189)
Pd (0.5000, 0.0000, 0.5000)


No. 3
## Cs2LiCrC6N6 (PBE)

Data for crystalline Cs2LiCrC6N6 at its relaxed geometry.

Computed properties:
As for the symmetry: No. 128. For the total moment, the calculation gives 6.00 μB/cell. The formation energy is -0.28 eV per atom.

Lattice parameters (Å, degrees): 7.6688 7.6688 10.8745 90.00 90.00 90.00
Fractional positions:
Cs (0.0000, 0.5000, 0.2500)
Cs (0.0000, 0.5000, 0.7500)
Cs (0.5000, 0.0000, 0.2500)
Cs (0.5000, 0.0000, 0.7500)
Li (0.0000, 0.0000, 0.0000)
Li (0.5000, 0.5000, 0.5000)
Cr (0.0000, 0.0000, 0.5000)
Cr (0.5000, 0.5000, 0.0000)
C (0.0000, 0.0000, 0.3124)
C (0.0000, 0.0000, 0.6876)
C (0.1633, 0.2099, 0.5000)
C (0.2099, 0.8367, 0.5000)
C (0.2901, 0.3367, 0.0000)
C (0.3367, 0.7099, 0.0000)
C (0.5000, 0.5000, 0.1876)
C (0.5000, 0.5000, 0.8124)
C (0.6633, 0.2901, 0.0000)
C (0.7099, 0.6633, 0.0000)
C (0.7901, 0.1633, 0.5000)
C (0.8367, 0.7901, 0.5000)
N (0.0000, 0.0000, 0.2043)
N (0.0000, 0.0000, 0.7957)
N (0.1691, 0.2425, 0.0000)
N (0.2425, 0.8309, 0.0000)
N (0.2575, 0.3309, 0.5000)
N (0.3309, 0.7425, 0.5000)
N (0.5000, 0.5000, 0.2957)
N (0.5000, 0.5000, 0.7043)
N (0.6691, 0.2575, 0.5000)
N (0.7425, 0.6691, 0.5000)
N (0.7575, 0.1691, 0.0000)
N (0.8309, 0.7575, 0.0000)


No. 4
## Zn2Bi3O8 (PBE)

Data for crystalline Zn2Bi3O8 at its relaxed geometry.

Computed properties:
As for the symmetry: No. 12. For the total moment, the calculation gives 0.00 μB/cell. The calculation puts the relative energy among the computed polymorphs at 0 meV/atom. The formation energy is -1.44 eV per atom.

Lattice parameters (Å, degrees): 6.2245 6.2245 5.8367 109.00 109.00 68.52
Fractional positions:
Zn (0.1643, 0.1643, 0.1352)
Zn (0.8357, 0.8357, 0.8648)
Bi (0.2332, 0.7668, 0.5000)
Bi (0.5000, 0.5000, 0.0000)
Bi (0.7668, 0.2332, 0.5000)
O (0.1230, 0.1230, 0.7549)
O (0.1267, 0.6435, 0.7422)
O (0.3565, 0.8733, 0.2578)
O (0.3796, 0.3796, 0.2791)
O (0.6204, 0.6204, 0.7209)
O (0.6435, 0.1267, 0.7422)
O (0.8733, 0.3565, 0.2578)
O (0.8770, 0.8770, 0.2451)


No. 5
## NaPrTi2O6 (PBE)

Data for crystalline NaPrTi2O6 at its relaxed geometry.

Computed properties:
As for the symmetry: No. 31. For the total moment, the calculation gives 0.00 μB/cell. The formation energy is -3.40 eV per atom.

Lattice parameters (Å, degrees): 7.7535 5.5132 5.4842 90.00 90.00 90.00
Fractional positions:
Na (0.0000, 0.2342, 0.0000)
Na (0.5000, 0.7658, 0.5000)
Pr (0.0000, 0.7203, 0.5123)
Pr (0.5000, 0.2797, 0.0123)
Ti (0.2494, 0.2462, 0.5040)
Ti (0.2506, 0.7538, 0.0040)
Ti (0.7494, 0.7538, 0.0040)
Ti (0.7506, 0.2462, 0.5040)
O (0.0000, 0.2619, 0.4419)
O (0.0000, 0.7590, 0.0782)
O (0.2131, 0.9682, 0.7213)
O (0.2156, 0.4773, 0.7751)
O (0.2844, 0.5227, 0.2751)
O (0.2869, 0.0318, 0.2213)
O (0.5000, 0.2410, 0.5782)
O (0.5000, 0.7381, 0.9419)
O (0.7131, 0.0318, 0.2213)
O (0.7156, 0.5227, 0.2751)
O (0.7844, 0.4773, 0.7751)
O (0.7869, 0.9682, 0.7213)


No. 6
## CsAlSi2O6 (PBE)

Data for crystalline CsAlSi2O6 at its relaxed geometry.

Computed properties:
As for the symmetry: No. 142. For the total moment, the calculation gives 0.00 μB/cell. The formation energy is -3.24 eV per atom.

Lattice parameters (Å, degrees): 12.0749 12.0749 12.0749 109.73 109.73 108.96
Fractional positions:
Cs (0.0023, 0.2523, 0.5045)
Cs (0.2477, 0.4977, 0.9955)
Cs (0.2523, 0.2477, 0.2500)
Cs (0.4977, 0.0023, 0.2500)
Cs (0.5023, 0.9977, 0.7500)
Cs (0.7477, 0.7523, 0.7500)
Cs (0.7523, 0.5023, 0.0045)
Cs (0.9977, 0.7477, 0.4955)
Al (0.0375, 0.4625, 0.2500)
Al (0.2125, 0.9625, 0.9249)
Al (0.2875, 0.2125, 0.7500)
Al (0.4625, 0.7125, 0.4249)
Al (0.5375, 0.2875, 0.5751)
Al (0.7125, 0.7875, 0.2500)
Al (0.7875, 0.0375, 0.0751)
Al (0.9625, 0.5375, 0.7500)
Si (0.0350, 0.0742, 0.7819)
Si (0.0742, 0.7923, 0.0392)
Si (0.2077, 0.7469, 0.2819)
Si (0.2469, 0.7077, 0.7819)
Si (0.2531, 0.0350, 0.4608)
Si (0.2923, 0.5742, 0.5392)
Si (0.4258, 0.4650, 0.7181)
Si (0.4650, 0.2469, 0.0392)
Si (0.5350, 0.7531, 0.9608)
Si (0.5742, 0.5350, 0.2819)
Si (0.7077, 0.4258, 0.4608)
Si (0.7469, 0.9650, 0.5392)
Si (0.7531, 0.2923, 0.2181)
Si (0.7923, 0.2531, 0.7181)
Si (0.9258, 0.2077, 0.9608)
Si (0.9650, 0.9258, 0.2181)
O (0.0260, 0.1723, 0.9084)
O (0.0265, 0.3438, 0.1081)
O (0.0812, 0.6182, 0.2539)
O (0.0816, 0.9735, 0.8173)
O (0.1176, 0.0260, 0.3537)
O (0.1182, 0.5812, 0.7539)
O (0.1357, 0.1727, 0.7539)
O (0.1562, 0.4735, 0.3919)
O (0.1723, 0.7639, 0.1463)
O (0.1727, 0.9188, 0.0370)
O (0.2357, 0.8438, 0.8173)
O (0.2361, 0.8824, 0.4084)
O (0.2643, 0.0816, 0.6081)
O (0.2639, 0.6723, 0.6463)
O (0.3273, 0.3643, 0.7461)
O (0.3277, 0.4740, 0.5916)
O (0.3438, 0.7357, 0.3173)
O (0.3643, 0.1182, 0.0370)
O (0.3818, 0.1357, 0.4630)
O (0.3824, 0.7361, 0.9084)
O (0.4184, 0.2357, 0.8919)
O (0.4188, 0.6727, 0.5370)
O (0.4740, 0.3824, 0.1463)
O (0.4735, 0.5816, 0.3173)
O (0.5265, 0.4184, 0.6827)
O (0.5260, 0.6176, 0.8537)
O (0.5812, 0.3273, 0.4630)
O (0.5816, 0.7643, 0.1081)
O (0.6176, 0.2639, 0.0916)
O (0.6182, 0.8643, 0.5370)
O (0.6357, 0.8818, 0.9630)
O (0.6562, 0.2643, 0.6827)
O (0.6723, 0.5260, 0.4084)
O (0.6727, 0.6357, 0.2539)
O (0.7361, 0.3277, 0.3537)
O (0.7357, 0.9184, 0.3919)
O (0.7639, 0.1176, 0.5916)
O (0.7643, 0.1562, 0.1827)
O (0.8273, 0.0812, 0.9630)
O (0.8277, 0.2361, 0.8537)
O (0.8438, 0.5265, 0.6081)
O (0.8643, 0.8273, 0.2461)
O (0.8818, 0.4188, 0.2461)
O (0.8824, 0.9740, 0.6463)
O (0.9184, 0.0265, 0.1827)
O (0.9188, 0.3818, 0.7461)
O (0.9735, 0.6562, 0.8919)
O (0.9740, 0.8277, 0.0916)


No. 7
## Ta4FeS8 (PBE)

Data for crystalline Ta4FeS8 at its relaxed geometry.

Computed properties:
As for the symmetry: No. 194. The formation energy is -1.32 eV per atom.

Lattice parameters (Å, degrees): 6.6286 6.6286 11.7496 90.00 90.00 120.00
Fractional positions:
Ta (0.0000, 0.0000, 0.2500)
Ta (0.0000, 0.0000, 0.7500)
Ta (0.0123, 0.5061, 0.2500)
Ta (0.4939, 0.5061, 0.2500)
Ta (0.4939, 0.9877, 0.2500)
Ta (0.5061, 0.0123, 0.7500)
Ta (0.5061, 0.4939, 0.7500)
Ta (0.9877, 0.4939, 0.7500)
Fe (0.0000, 0.0000, 0.0000)
Fe (0.0000, 0.0000, 0.5000)
S (0.1648, 0.3295, 0.6162)
S (0.1648, 0.3295, 0.8838)
S (0.1648, 0.8352, 0.6162)
S (0.1648, 0.8352, 0.8838)
S (0.3295, 0.1648, 0.1162)
S (0.3295, 0.1648, 0.3838)
S (0.3333, 0.6667, 0.1128)
S (0.3333, 0.6667, 0.3872)
S (0.6667, 0.3333, 0.6128)
S (0.6667, 0.3333, 0.8872)
S (0.6705, 0.8352, 0.6162)
S (0.6705, 0.8352, 0.8838)
S (0.8352, 0.1648, 0.1162)
S (0.8352, 0.1648, 0.3838)
S (0.8352, 0.6705, 0.1162)
S (0.8352, 0.6705, 0.3838)


Number 1: calculated total energy -188.7 eV per cell. Number 2: calculated total energy -17.7 eV per cell. Number 3: calculated total energy -242.0 eV per cell. Number 4: calculated total energy -67.0 eV per cell. Number 5: calculated total energy -162.9 eV per cell. Number 6: calculated total energy -587.9 eV per cell. Number 7: calculated total energy -204.2 eV per cell.